Entry 1:
{"formula": "Sc2V2O7", "functional": "PBE with a Hubbard U", "state": "optimized geometry", "cell": [[3.1582, -4.5329, 0.0000], [3.1582, 4.5329, 0.0000], [-0.9046, 0.0000, 5.1136]], "species": ["Sc", "Sc", "V", "V", "O", "O", "O", "O", "O", "O", "O"], "fractional_positions": [[0.1860, 0.8140, 0.0000], [0.8140, 0.1860, 0.0000], [0.2464, 0.2464, 0.6075], [0.7536, 0.7536, 0.3925], [0.0693, 0.0693, 0.2702], [0.1046, 0.4454, 0.8024], [0.4454, 0.1046, 0.8024], [0.5000, 0.5000, 0.5000], [0.5546, 0.8954, 0.1976], [0.8954, 0.5546, 0.1976], [0.9307, 0.9307, 0.7298]], "m_tot_mub_per_cell": 2.00, "e_above_lowest_polymorph_mev_per_atom": 0, "delta_e_f_ev_per_atom": -3.1227}


Entry 2:
{"formula": "Mg6FeCO8", "functional": "PBE with a Hubbard U", "state": "optimized geometry", "cell": [[4.2505, 0.0000, 0.0000], [0.0000, 4.2505, 0.0000], [0.0000, 0.0000, 8.5009]], "species": ["Mg", "Mg", "Mg", "Mg", "Mg", "Mg", "Fe", "C", "O", "O", "O", "O", "O", "O", "O", "O"], "fractional_positions": [[0.0000, 0.0000, 0.0000], [0.0000, 0.5000, 0.2537], [0.0000, 0.5000, 0.7463], [0.5000, 0.0000, 0.2537], [0.5000, 0.0000, 0.7463], [0.5000, 0.5000, 0.0000], [0.0000, 0.0000, 0.5000], [0.5000, 0.5000, 0.5000], [0.0000, 0.0000, 0.2489], [0.0000, 0.0000, 0.7511], [0.0000, 0.5000, 0.0000], [0.0000, 0.5000, 0.5000], [0.5000, 0.0000, 0.0000], [0.5000, 0.0000, 0.5000], [0.5000, 0.5000, 0.2492], [0.5000, 0.5000, 0.7508]], "m_tot_mub_per_cell": 4.00, "e_above_lowest_polymorph_mev_per_atom": 0, "delta_e_f_ev_per_atom": -2.2068}


Entry 3:
{"formula": "Na2SrVP2O9", "functional": "PBE with a Hubbard U", "state": "optimized geometry", "cell": [[10.8043, 0.0000, 0.0000], [0.0000, 6.7214, 0.0000], [0.0000, 0.0000, 10.3806]], "species": ["Na", "Na", "Na", "Na", "Na", "Na", "Na", "Na", "Sr", "Sr", "Sr", "Sr", "V", "V", "V", "V", "P", "P", "P", "P", "P", "P", "P", "P", "O", "O", "O", "O", "O", "O", "O", "O", "O", "O", "O", "O", "O", "O", "O", "O", "O", "O", "O", "O", "O", "O", "O", "O", "O", "O", "O", "O", "O", "O", "O", "O", "O", "O", "O", "O"], "fractional_positions": [[0.2173, 0.0001, 0.1347], [0.2173, 0.4999, 0.1347], [0.2827, 0.9999, 0.6347], [0.2827, 0.5001, 0.6347], [0.7173, 0.0001, 0.3653], [0.7173, 0.4999, 0.3653], [0.7827, 0.9999, 0.8653], [0.7827, 0.5001, 0.8653], [0.0573, 0.2500, 0.4044], [0.4427, 0.7500, 0.9044], [0.5573, 0.2500, 0.0956], [0.9427, 0.7500, 0.5956], [0.0282, 0.2500, 0.8122], [0.4718, 0.7500, 0.3122], [0.5282, 0.2500, 0.6878], [0.9718, 0.7500, 0.1878], [0.0865, 0.7500, 0.8683], [0.1839, 0.7500, 0.4149], [0.3161, 0.2500, 0.9149], [0.4135, 0.2500, 0.3683], [0.5865, 0.7500, 0.6317], [0.6839, 0.7500, 0.0851], [0.8161, 0.2500, 0.5851], [0.9135, 0.2500, 0.1317], [0.0080, 0.5654, 0.8192], [0.0080, 0.9346, 0.8192], [0.0957, 0.7500, 0.0173], [0.1035, 0.2500, 0.6725], [0.1314, 0.5667, 0.4849], [0.1314, 0.9333, 0.4849], [0.1474, 0.7500, 0.2698], [0.1725, 0.2500, 0.9308], [0.2152, 0.7500, 0.8030], [0.2848, 0.2500, 0.3030], [0.3275, 0.7500, 0.4308], [0.3526, 0.2500, 0.7698], [0.3686, 0.0667, 0.9849], [0.3686, 0.4333, 0.9849], [0.3965, 0.7500, 0.1725], [0.4043, 0.2500, 0.5173], [0.4920, 0.0654, 0.3192], [0.4920, 0.4346, 0.3192], [0.5080, 0.5654, 0.6808], [0.5080, 0.9346, 0.6808], [0.5957, 0.7500, 0.4827], [0.6035, 0.2500, 0.8275], [0.6314, 0.5667, 0.0151], [0.6314, 0.9333, 0.0151], [0.6474, 0.7500, 0.2302], [0.6725, 0.2500, 0.5692], [0.7152, 0.7500, 0.6970], [0.7848, 0.2500, 0.1970], [0.8275, 0.7500, 0.0692], [0.8526, 0.2500, 0.7302], [0.8686, 0.0667, 0.5151], [0.8686, 0.4333, 0.5151], [0.8965, 0.7500, 0.3275], [0.9043, 0.2500, 0.9827], [0.9920, 0.0654, 0.1808], [0.9920, 0.4346, 0.1808]], "m_tot_mub_per_cell": 4.00, "delta_e_f_ev_per_atom": -2.8243}


Entry 4:
{"formula": "Li2VP2O7", "functional": "PBE with a Hubbard U", "state": "optimized geometry", "cell": [[-2.7299, 0.0001, -6.7456], [0.0000, 8.5171, -0.0001], [7.4742, 0.0001, -6.7340]], "species": ["O", "O", "O", "Li", "O", "P", "P", "O", "O", "O", "O", "Li", "P", "P", "O", "Li", "V", "Li", "V", "O", "O", "V", "Li", "O", "O", "Li", "O", "O", "O", "O", "P", "O", "O", "Li", "O", "O", "O", "P", "P", "O", "O", "O", "O", "P", "Li", "V", "O", "O"], "fractional_positions": [[0.1747, 0.6710, 0.5723], [0.6480, 0.0361, 0.8560], [0.9689, 0.6845, 0.4092], [0.0864, 0.8494, 0.2627], [0.8520, 0.5361, 0.6440], [0.4552, 0.6827, 0.0663], [0.3525, 0.7909, 0.5613], [0.3253, 0.1710, 0.9277], [0.0272, 0.3154, 0.0949], [0.3520, 0.5361, 0.1440], [0.4801, 0.6993, 0.6291], [0.8150, 0.1643, 0.0887], [0.0448, 0.1827, 0.4337], [0.9552, 0.6827, 0.5663], [0.1480, 0.0361, 0.3560], [0.5864, 0.8494, 0.7627], [0.9649, 0.9974, 0.7567], [0.9135, 0.3494, 0.7373], [0.4648, 0.9975, 0.2567], [0.9801, 0.6993, 0.1291], [0.2288, 0.4421, 0.8576], [0.0351, 0.4974, 0.2433], [0.1850, 0.6643, 0.9113], [0.5199, 0.1993, 0.3709], [0.7712, 0.9421, 0.1424], [0.3150, 0.1643, 0.5887], [0.2712, 0.9421, 0.6424], [0.0199, 0.1993, 0.8709], [0.8253, 0.1710, 0.4277], [0.3632, 0.8347, 0.1394], [0.8525, 0.7909, 0.0614], [0.7288, 0.4421, 0.3576], [0.9728, 0.8154, 0.9051], [0.4136, 0.3494, 0.2373], [0.4689, 0.6845, 0.9092], [0.8632, 0.8347, 0.6394], [0.4728, 0.8154, 0.4051], [0.6475, 0.2909, 0.4386], [0.1475, 0.2909, 0.9386], [0.6368, 0.3347, 0.8606], [0.1368, 0.3347, 0.3607], [0.5311, 0.1845, 0.0908], [0.5272, 0.3154, 0.5949], [0.5448, 0.1827, 0.9337], [0.6850, 0.6643, 0.4113], [0.5352, 0.4974, 0.7433], [0.6747, 0.6710, 0.0723], [0.0311, 0.1845, 0.5908]], "m_tot_mub_per_cell": 0.00, "e_above_lowest_polymorph_mev_per_atom": 0, "delta_e_f_ev_per_atom": -2.6725}


Entry 5:
{"formula": "LiCrSiO4", "functional": "PBE with a Hubbard U", "state": "optimized geometry", "cell": [[5.5788, 0.0000, 0.0000], [0.0000, 0.0000, -7.9675], [0.0000, 5.8455, 0.0000]], "species": ["Si", "O", "Li", "O", "Si", "O", "Si", "O", "O", "O", "Li", "O", "O", "Li", "Si", "O", "O", "O", "Cr", "O", "Li", "O", "O", "Cr", "Cr", "Cr", "O", "O"], "fractional_positions": [[0.0000, 0.6354, 0.2500], [0.2444, 0.4924, 0.7500], [0.7500, 0.2500, 0.2500], [0.5000, 0.2489, 0.5151], [0.5000, 0.8646, 0.2500], [0.0000, 0.7489, 0.4850], [0.0000, 0.3646, 0.7500], [0.7556, 0.4924, 0.7500], [0.7556, 0.5076, 0.2500], [0.0000, 0.2511, 0.9849], [0.2500, 0.2500, 0.2500], [0.2557, 0.0076, 0.7500], [0.0000, 0.7488, 0.0150], [0.2500, 0.7500, 0.7500], [0.5000, 0.1354, 0.7500], [0.2444, 0.5076, 0.2500], [0.7444, 0.9924, 0.2500], [0.5000, 0.7511, 0.4850], [0.9999, 0.9999, 0.5002], [0.5000, 0.2489, 0.9849], [0.7500, 0.7500, 0.7500], [0.5000, 0.7512, 0.0150], [0.0000, 0.2511, 0.5151], [0.0002, 0.9999, 0.9998], [0.4997, 0.5002, 0.9999], [0.5002, 0.5000, 0.5002], [0.7444, 0.0076, 0.7500], [0.2556, 0.9924, 0.2500]], "m_tot_mub_per_cell": 0.00, "e_above_lowest_polymorph_mev_per_atom": 41, "delta_e_f_ev_per_atom": -2.7247}


Entry 6:
{"formula": "Tl3VF6", "functional": "PBE with a Hubbard U", "state": "optimized geometry", "cell": [[0.0000, 4.6219, 4.6219], [4.6219, 0.0000, 4.6219], [4.6219, 4.6219, 0.0000]], "species": ["Tl", "Tl", "Tl", "V", "F", "F", "F", "F", "F", "F"], "fractional_positions": [[0.0000, 0.0000, 0.0000], [0.2500, 0.2500, 0.2500], [0.7500, 0.7500, 0.7500], [0.5000, 0.5000, 0.5000], [0.2864, 0.2864, 0.7136], [0.2864, 0.7136, 0.2864], [0.2864, 0.7136, 0.7136], [0.7136, 0.2864, 0.2864], [0.7136, 0.2864, 0.7136], [0.7136, 0.7136, 0.2864]], "m_tot_mub_per_cell": 2.00, "delta_e_f_ev_per_atom": -2.4191}


Entry 7:
{"formula": "Eu2Mo5O18", "functional": "PBE with a Hubbard U", "state": "optimized geometry", "cell": [[19.5906, 0.0000, 0.0000], [0.0000, 9.6248, 0.0000], [0.0000, 0.0000, 9.5317]], "species": ["Eu", "Eu", "Eu", "Eu", "Eu", "Eu", "Eu", "Eu", "Mo", "Mo", "Mo", "Mo", "Mo", "Mo", "Mo", "Mo", "Mo", "Mo", "Mo", "Mo", "Mo", "Mo", "Mo", "Mo", "Mo", "Mo", "Mo", "Mo", "O", "O", "O", "O", "O", "O", "O", "O", "O", "O", "O", "O", "O", "O", "O", "O", "O", "O", "O", "O", "O", "O", "O", "O", "O", "O", "O", "O", "O", "O", "O", "O", "O", "O", "O", "O", "O", "O", "O", "O", "O", "O", "O", "O", "O", "O", "O", "O", "O", "O", "O", "O", "O", "O", "O", "O", "O", "O", "O", "O", "O", "O", "O", "O", "O", "O", "O", "O", "O", "O", "O", "O"], "fractional_positions": [[0.1151, 0.2323, 0.0268], [0.1151, 0.7677, 0.5268], [0.3849, 0.2677, 0.5268], [0.3849, 0.7323, 0.0268], [0.6151, 0.2677, 0.9732], [0.6151, 0.7323, 0.4732], [0.8849, 0.2323, 0.4732], [0.8849, 0.7677, 0.9732], [0.0000, 0.0348, 0.7500], [0.0000, 0.9652, 0.2500], [0.0899, 0.3574, 0.4388], [0.0899, 0.6426, 0.9388], [0.1989, 0.1322, 0.6763], [0.1989, 0.8678, 0.1763], [0.3011, 0.3678, 0.1763], [0.3011, 0.6322, 0.6763], [0.4101, 0.1426, 0.9388], [0.4101, 0.8574, 0.4388], [0.5000, 0.4652, 0.2500], [0.5000, 0.5348, 0.7500], [0.5899, 0.1426, 0.5612], [0.5899, 0.8574, 0.0612], [0.6989, 0.3678, 0.3237], [0.6989, 0.6322, 0.8237], [0.8011, 0.1322, 0.8237], [0.8011, 0.8678, 0.3237], [0.9101, 0.3574, 0.0612], [0.9101, 0.6426, 0.5612], [0.0040, 0.3413, 0.4887], [0.0040, 0.6587, 0.9887], [0.0322, 0.0713, 0.1122], [0.0322, 0.9287, 0.6122], [0.0697, 0.1407, 0.8143], [0.0697, 0.8593, 0.3143], [0.0981, 0.2949, 0.2659], [0.0981, 0.7051, 0.7659], [0.1161, 0.4667, 0.9405], [0.1161, 0.5333, 0.4405], [0.1437, 0.2532, 0.5659], [0.1437, 0.7468, 0.0659], [0.1758, 0.0436, 0.1493], [0.1758, 0.9564, 0.6493], [0.2049, 0.1749, 0.8573], [0.2049, 0.8251, 0.3573], [0.2189, 0.3467, 0.1068], [0.2189, 0.6533, 0.6068], [0.2811, 0.1533, 0.6068], [0.2811, 0.8467, 0.1068], [0.2951, 0.3251, 0.3573], [0.2951, 0.6749, 0.8573], [0.3242, 0.4564, 0.6493], [0.3242, 0.5436, 0.1493], [0.3563, 0.2468, 0.0659], [0.3563, 0.7532, 0.5659], [0.3839, 0.0333, 0.4405], [0.3839, 0.9667, 0.9405], [0.4019, 0.2051, 0.7659], [0.4019, 0.7949, 0.2659], [0.4303, 0.3593, 0.3143], [0.4303, 0.6407, 0.8143], [0.4678, 0.4287, 0.6122], [0.4678, 0.5713, 0.1122], [0.4960, 0.1587, 0.9887], [0.4960, 0.8413, 0.4887], [0.5040, 0.1587, 0.5113], [0.5040, 0.8413, 0.0113], [0.5322, 0.4287, 0.8878], [0.5322, 0.5713, 0.3878], [0.5697, 0.3593, 0.1857], [0.5697, 0.6407, 0.6857], [0.5981, 0.2051, 0.7341], [0.5981, 0.7949, 0.2341], [0.6161, 0.0333, 0.0595], [0.6161, 0.9667, 0.5595], [0.6437, 0.2468, 0.4341], [0.6437, 0.7532, 0.9341], [0.6758, 0.4564, 0.8507], [0.6758, 0.5436, 0.3507], [0.7049, 0.3251, 0.1427], [0.7049, 0.6749, 0.6427], [0.7189, 0.1533, 0.8932], [0.7189, 0.8467, 0.3932], [0.7811, 0.3467, 0.3932], [0.7811, 0.6533, 0.8932], [0.7951, 0.1749, 0.6427], [0.7951, 0.8251, 0.1427], [0.8242, 0.0436, 0.3507], [0.8242, 0.9564, 0.8507], [0.8563, 0.2532, 0.9341], [0.8563, 0.7468, 0.4341], [0.8839, 0.4667, 0.5595], [0.8839, 0.5333, 0.0595], [0.9019, 0.2949, 0.2341], [0.9019, 0.7051, 0.7341], [0.9303, 0.1407, 0.6857], [0.9303, 0.8593, 0.1857], [0.9678, 0.0713, 0.3878], [0.9678, 0.9287, 0.8878], [0.9960, 0.3413, 0.0113], [0.9960, 0.6587, 0.5113]], "m_tot_mub_per_cell": 0.73, "delta_e_f_ev_per_atom": -1.9093}


Entry 8:
{"formula": "Na6Ni3B9P6H3O38", "functional": "PBE with a Hubbard U", "state": "optimized geometry", "cell": [[11.8101, 0.0000, 0.0000], [0.0000, 12.1990, 0.0000], [-5.9031, 0.0000, 10.2312]], "species": ["Na", "Na", "Na", "Na", "Na", "Na", "Na", "Na", "Na", "Na", "Na", "Na", "Ni", "Ni", "Ni", "Ni", "Ni", "Ni", "B", "B", "B", "B", "B", "B", "B", "B", "B", "B", "B", "B", "B", "B", "B", "B", "B", "B", "P", "P", "P", "P", "P", "P", "P", "P", "P", "P", "P", "P", "H", "H", "H", "H", "H", "H", "O", "O", "O", "O", "O", "O", "O", "O", "O", "O", "O", "O", "O", "O", "O", "O", "O", "O", "O", "O", "O", "O", "O", "O", "O", "O", "O", "O", "O", "O", "O", "O", "O", "O", "O", "O", "O", "O", "O", "O", "O", "O", "O", "O", "O", "O", "O", "O", "O", "O", "O", "O", "O", "O", "O", "O", "O", "O", "O", "O", "O", "O", "O", "O", "O", "O", "O", "O", "O", "O", "O", "O", "O", "O", "O", "O"], "fractional_positions": [[0.0000, 0.0000, 0.0002], [0.0000, 0.5000, 0.9998], [0.0176, 0.0435, 0.2985], [0.2812, 0.0434, 0.9825], [0.2986, 0.5434, 0.2812], [0.3333, 0.8877, 0.6665], [0.3336, 0.3956, 0.6667], [0.6664, 0.8956, 0.3333], [0.6667, 0.3877, 0.3335], [0.7014, 0.0434, 0.7188], [0.7188, 0.5434, 0.0175], [0.9824, 0.5435, 0.7015], [0.0031, 0.2960, 0.5040], [0.4960, 0.2958, 0.4990], [0.4989, 0.7959, 0.0029], [0.5011, 0.2959, 0.9971], [0.5040, 0.7958, 0.5010], [0.9969, 0.7960, 0.4960], [0.0377, 0.6469, 0.2891], [0.0429, 0.4453, 0.2963], [0.0873, 0.5502, 0.4949], [0.2509, 0.6469, 0.9621], [0.2530, 0.4452, 0.9570], [0.2889, 0.1470, 0.2509], [0.2961, 0.9452, 0.2529], [0.4067, 0.5502, 0.9121], [0.4947, 0.0502, 0.4067], [0.5053, 0.5502, 0.5933], [0.5933, 0.0502, 0.0879], [0.7039, 0.4452, 0.7471], [0.7111, 0.6470, 0.7491], [0.7470, 0.9452, 0.0430], [0.7491, 0.1469, 0.0379], [0.9127, 0.0502, 0.5051], [0.9571, 0.9453, 0.7037], [0.9623, 0.1469, 0.7109], [0.1860, 0.2571, 0.3829], [0.1872, 0.8308, 0.3800], [0.1926, 0.8307, 0.8128], [0.1968, 0.2572, 0.8139], [0.3800, 0.3309, 0.1926], [0.3829, 0.7570, 0.1967], [0.6171, 0.2570, 0.8033], [0.6200, 0.8309, 0.8074], [0.8032, 0.7572, 0.1861], [0.8074, 0.3307, 0.1872], [0.8128, 0.3308, 0.6200], [0.8140, 0.7571, 0.6171], [0.1649, 0.6318, 0.6591], [0.3409, 0.6318, 0.5058], [0.4941, 0.6318, 0.8351], [0.5059, 0.1318, 0.1649], [0.6591, 0.1318, 0.4942], [0.8351, 0.1318, 0.3409], [0.0000, 0.2972, 0.0000], [0.0000, 0.7972, 0.0000], [0.0581, 0.6471, 0.4261], [0.0639, 0.4493, 0.4344], [0.0815, 0.5456, 0.2604], [0.0965, 0.2096, 0.4298], [0.0992, 0.9276, 0.7985], [0.1029, 0.1625, 0.8057], [0.1055, 0.8809, 0.4352], [0.1134, 0.7381, 0.2774], [0.1176, 0.3549, 0.2840], [0.1450, 0.5543, 0.6297], [0.1633, 0.7382, 0.8866], [0.1660, 0.3547, 0.8824], [0.1676, 0.7875, 0.6798], [0.1707, 0.2959, 0.6806], [0.1783, 0.5456, 0.9186], [0.1941, 0.1628, 0.2969], [0.2014, 0.9274, 0.3005], [0.2600, 0.0456, 0.1784], [0.2770, 0.2381, 0.1633], [0.2838, 0.8547, 0.1658], [0.2971, 0.6625, 0.1029], [0.3007, 0.4276, 0.0992], [0.3196, 0.2957, 0.4903], [0.3203, 0.7878, 0.4879], [0.3294, 0.8808, 0.8947], [0.3332, 0.0917, 0.6666], [0.3333, 0.2096, 0.9038], [0.3671, 0.6470, 0.9412], [0.3697, 0.4493, 0.9355], [0.3704, 0.5543, 0.5156], [0.4260, 0.1470, 0.3671], [0.4297, 0.7095, 0.3332], [0.4343, 0.9492, 0.3696], [0.4350, 0.3808, 0.3295], [0.4842, 0.5543, 0.8547], [0.4881, 0.2878, 0.1677], [0.4904, 0.7957, 0.1707], [0.5096, 0.2957, 0.8293], [0.5119, 0.7878, 0.8323], [0.5158, 0.0543, 0.1453], [0.5650, 0.8808, 0.6705], [0.5657, 0.4492, 0.6304], [0.5703, 0.2095, 0.6668], [0.5740, 0.6470, 0.6329], [0.6296, 0.0543, 0.4844], [0.6303, 0.9493, 0.0645], [0.6329, 0.1470, 0.0588], [0.6668, 0.5917, 0.3334], [0.6667, 0.7096, 0.0962], [0.6706, 0.3808, 0.1053], [0.6797, 0.2878, 0.5121], [0.6804, 0.7957, 0.5097], [0.6993, 0.9276, 0.9008], [0.7029, 0.1625, 0.8971], [0.7162, 0.3547, 0.8342], [0.7230, 0.7381, 0.8367], [0.7400, 0.5456, 0.8216], [0.7986, 0.4274, 0.6995], [0.8059, 0.6628, 0.7031], [0.8217, 0.0456, 0.0814], [0.8293, 0.7959, 0.3194], [0.8324, 0.2875, 0.3202], [0.8340, 0.8547, 0.1176], [0.8367, 0.2382, 0.1134], [0.8550, 0.0543, 0.3703], [0.8824, 0.8549, 0.7160], [0.8866, 0.2381, 0.7226], [0.8945, 0.3809, 0.5648], [0.8971, 0.6625, 0.1943], [0.9008, 0.4276, 0.2015], [0.9035, 0.7096, 0.5702], [0.9185, 0.0456, 0.7396], [0.9361, 0.9493, 0.5656], [0.9419, 0.1471, 0.5739]], "m_tot_mub_per_cell": 20.00, "delta_e_f_ev_per_atom": -2.3642}